[1]
The following is a DFT calculation (PBE) of a geometry-optimized Li2Ta4O11 structure.

Unit cell a=12.8513 b=12.8513 c=12.8513 alpha=28.24 beta=28.24 gamma=28.24
Atoms (fractional coordinates):
Li (0.6489, 0.6489, 0.6489)
Li (0.8511, 0.8511, 0.8511)
Li (0.1489, 0.1489, 0.1489)
Li (0.3511, 0.3511, 0.3511)
Ta (0.1080, 0.7500, 0.3920)
Ta (0.6080, 0.8920, 0.2500)
Ta (0.5000, 0.5000, 0.5000)
Ta (0.7500, 0.3920, 0.1080)
Ta (0.2500, 0.6080, 0.8920)
Ta (0.3920, 0.1080, 0.7500)
Ta (0.0000, 0.0000, 0.0000)
Ta (0.8920, 0.2500, 0.6080)
O (0.5023, 0.7500, 0.9977)
O (0.0023, 0.4977, 0.2500)
O (0.2344, 0.7517, 0.4220)
O (0.0780, 0.7483, 0.2656)
O (0.0939, 0.0939, 0.0939)
O (0.7344, 0.9220, 0.2517)
O (0.7483, 0.2656, 0.0780)
O (0.5780, 0.7656, 0.2483)
O (0.5939, 0.5939, 0.5939)
O (0.7500, 0.9977, 0.5023)
O (0.7517, 0.4220, 0.2344)
O (0.2483, 0.5780, 0.7656)
O (0.2500, 0.0023, 0.4977)
O (0.4061, 0.4061, 0.4061)
O (0.4220, 0.2344, 0.7517)
O (0.2517, 0.7344, 0.9220)
O (0.2656, 0.0780, 0.7483)
O (0.9061, 0.9061, 0.9061)
O (0.9220, 0.2517, 0.7344)
O (0.7656, 0.2483, 0.5780)
O (0.9977, 0.5023, 0.7500)
O (0.4977, 0.2500, 0.0023)

Energy of formation from the pure elements: -3.186 eV per atom
V: 209.9 Å³/f.u.
Total energy after the MP2020 corrections: -319.7 eV/cell
VASP energy: -8.958 eV/atom

[2]
The following is a DFT calculation (PBE) of a geometry-optimized Li3TaO4 structure.

Unit cell a=5.2467 b=5.2467 c=5.2467 alpha=133.65 beta=133.65 gamma=67.64
Atoms (fractional coordinates):
Li (0.5000, 0.5000, 0.0000)
Li (0.2500, 0.7500, 0.5000)
Li (0.7500, 0.2500, 0.5000)
Ta (0.0000, 0.0000, 0.0000)
O (0.0000, 0.5000, 0.5000)
O (0.7779, 0.7779, 0.0000)
O (0.5000, 0.0000, 0.5000)
O (0.2221, 0.2221, 0.0000)

Energy of formation from the pure elements: -2.787 eV per atom
V: 74.3 Å³/f.u.
Offset from the most stable computed form: 64 meV per atom
Total energy after the MP2020 corrections: -59.7 eV/cell
VASP energy: -7.115 eV/atom

[3]
The following is a DFT calculation (PBE) of a geometry-optimized LiTcO3 structure.

Unit cell a=3.8539 b=3.8539 c=3.8539 alpha=90.00 beta=90.00 gamma=90.00
Atoms (fractional coordinates):
Li (0.0000, 0.0000, 0.0000)
Tc (0.5000, 0.5000, 0.5000)
O (0.5000, 0.5000, 0.0000)
O (0.5000, 0.0000, 0.5000)
O (0.0000, 0.5000, 0.5000)

Energy of formation from the pure elements: -1.911 eV per atom
V: 57.2 Å³/f.u.
Total energy after the MP2020 corrections: -36.7 eV/cell
VASP energy: -6.922 eV/atom

[4]
The following is a DFT calculation (PBE) of a geometry-optimized Li2TcO3 structure.

Unit cell a=4.8498 b=4.8498 c=10.3057 alpha=85.55 beta=85.55 gamma=119.94
Atoms (fractional coordinates):
Li (0.6601, 0.8193, 0.5003)
Li (0.3399, 0.1807, 0.4997)
Li (0.1807, 0.3399, 0.9997)
Li (0.8193, 0.6601, 0.0003)
Li (0.5841, 0.4159, 0.7500)
Li (0.4159, 0.5841, 0.2500)
Li (0.5000, 0.0000, 0.0000)
Li (0.0000, 0.5000, 0.5000)
Tc (0.2497, 0.7503, 0.7500)
Tc (0.7503, 0.2497, 0.2500)
Tc (0.9170, 0.0830, 0.7500)
Tc (0.0830, 0.9170, 0.2500)
O (0.7839, 0.9506, 0.1276)
O (0.2161, 0.0494, 0.8724)
O (0.0494, 0.2161, 0.3724)
O (0.9506, 0.7839, 0.6276)
O (0.5432, 0.7016, 0.8710)
O (0.4568, 0.2984, 0.1290)
O (0.2984, 0.4568, 0.6290)
O (0.7016, 0.5432, 0.3710)
O (0.6240, 0.1304, 0.6278)
O (0.3760, 0.8696, 0.3722)
O (0.8696, 0.3760, 0.8722)
O (0.1304, 0.6240, 0.1278)

Energy of formation from the pure elements: -2.081 eV per atom
V: 51.9 Å³/f.u.
Total energy after the MP2020 corrections: -166.0 eV/cell
VASP energy: -6.575 eV/atom

[5]
The following is a DFT calculation (PBE) of a geometry-optimized Li2TeO3 structure.

Unit cell a=5.4805 b=5.4805 c=7.4772 alpha=87.61 beta=87.61 gamma=123.94
Atoms (fractional coordinates):
Li (0.3650, 0.0521, 0.8751)
Li (0.0521, 0.3650, 0.8751)
Li (0.6350, 0.9479, 0.1249)
Li (0.9479, 0.6350, 0.1249)
Te (0.7382, 0.7382, 0.7023)
Te (0.2618, 0.2618, 0.2977)
O (0.6719, 0.9697, 0.8509)
O (0.9697, 0.6719, 0.8509)
O (0.3707, 0.3707, 0.7384)
O (0.6293, 0.6293, 0.2616)
O (0.0303, 0.3281, 0.1491)
O (0.3281, 0.0303, 0.1491)

Energy of formation from the pure elements: -2.016 eV per atom
V: 92.8 Å³/f.u.
Total energy after the MP2020 corrections: -67.8 eV/cell
VASP energy: -5.306 eV/atom

[6]
The following is a DFT calculation (PBE) of a geometry-optimized Li6Te2O9 structure.

Unit cell a=6.0297 b=8.7395 c=16.2515 alpha=85.57 beta=79.60 gamma=70.33
Atoms (fractional coordinates):
Li (0.0353, 0.1452, 0.0121)
Li (0.5454, 0.1319, 0.0300)
Li (0.6020, 0.4756, 0.0852)
Li (0.8603, 0.8392, 0.1479)
Li (0.1798, 0.6290, 0.2313)
Li (0.4116, 0.1189, 0.2683)
Li (0.7054, 0.6251, 0.2301)
Li (0.9495, 0.1144, 0.2695)
Li (0.5338, 0.3187, 0.3632)
Li (0.1722, 0.9690, 0.4208)
Li (0.0715, 0.6360, 0.4709)
Li (0.5646, 0.6318, 0.4840)
Li (0.4354, 0.3682, 0.5160)
Li (0.9285, 0.3640, 0.5291)
Li (0.8278, 0.0310, 0.5792)
Li (0.4662, 0.6813, 0.6368)
Li (0.0505, 0.8856, 0.7305)
Li (0.2946, 0.3749, 0.7699)
Li (0.5884, 0.8811, 0.7317)
Li (0.8202, 0.3710, 0.7687)
Li (0.1397, 0.1608, 0.8521)
Li (0.3980, 0.5244, 0.9148)
Li (0.4546, 0.8681, 0.9700)
Li (0.9647, 0.8548, 0.9879)
Te (0.1171, 0.3698, 0.1471)
Te (0.3325, 0.8872, 0.1466)
Te (0.0036, 0.3855, 0.3522)
Te (0.7353, 0.8675, 0.3518)
Te (0.2647, 0.1325, 0.6482)
Te (0.9964, 0.6145, 0.6478)
Te (0.6675, 0.1128, 0.8534)
Te (0.8829, 0.6302, 0.8529)
O (0.4056, 0.3434, 0.0736)
O (0.1576, 0.9144, 0.0572)
O (0.6093, 0.9102, 0.0742)
O (0.9216, 0.3278, 0.0812)
O (0.2369, 0.1203, 0.1786)
O (0.4626, 0.6600, 0.1605)
O (0.9996, 0.5965, 0.1473)
O (0.0594, 0.8850, 0.2286)
O (0.2727, 0.3759, 0.2530)
O (0.6024, 0.8669, 0.2496)
O (0.8407, 0.3743, 0.2558)
O (0.1157, 0.1578, 0.3563)
O (0.6563, 0.0948, 0.3356)
O (0.9000, 0.6267, 0.3235)
O (0.1952, 0.4139, 0.4283)
O (0.4879, 0.8345, 0.4288)
O (0.7172, 0.4121, 0.4336)
O (0.9688, 0.8434, 0.4186)
O (0.0312, 0.1566, 0.5814)
O (0.2828, 0.5879, 0.5664)
O (0.5121, 0.1655, 0.5712)
O (0.8048, 0.5861, 0.5717)
O (0.1000, 0.3733, 0.6765)
O (0.3437, 0.9052, 0.6644)
O (0.8843, 0.8422, 0.6437)
O (0.1593, 0.6257, 0.7442)
O (0.3976, 0.1331, 0.7504)
O (0.7273, 0.6241, 0.7470)
O (0.9406, 0.1150, 0.7714)
O (0.5374, 0.3400, 0.8395)
O (0.7631, 0.8797, 0.8214)
O (0.0004, 0.4035, 0.8527)
O (0.0784, 0.6722, 0.9188)
O (0.3907, 0.0898, 0.9258)
O (0.8424, 0.0856, 0.9428)
O (0.5944, 0.6566, 0.9264)

Energy of formation from the pure elements: -1.947 eV per atom
V: 198.3 Å³/f.u.
Total energy after the MP2020 corrections: -381.5 eV/cell
VASP energy: -5.246 eV/atom

[7]
The following is a DFT calculation (PBE) of a geometry-optimized Li6TeO6 structure.

Unit cell a=5.1933 b=5.1933 c=5.1933 alpha=101.12 beta=101.12 gamma=101.12
Atoms (fractional coordinates):
Li (0.9117, 0.7054, 0.4066)
Li (0.2946, 0.5934, 0.0883)
Li (0.5934, 0.0883, 0.2946)
Li (0.0883, 0.2946, 0.5934)
Li (0.7054, 0.4066, 0.9117)
Li (0.4066, 0.9117, 0.7054)
Te (0.0000, 0.0000, 0.0000)
O (0.6791, 0.7771, 0.0640)
O (0.2229, 0.9360, 0.3209)
O (0.9360, 0.3209, 0.2229)
O (0.3209, 0.2229, 0.9360)
O (0.7771, 0.0640, 0.6791)
O (0.0640, 0.6791, 0.7771)

Energy of formation from the pure elements: -2.132 eV per atom
V: 130.9 Å³/f.u.
Offset from the most stable computed form: 0 meV per atom
Total energy after the MP2020 corrections: -72.0 eV/cell
VASP energy: -5.222 eV/atom

[8]
The following is a DFT calculation (PBE) of a geometry-optimized Li2TeO3 structure.

Unit cell a=5.4764 b=5.4764 c=13.6819 alpha=87.86 beta=87.86 gamma=123.49
Atoms (fractional coordinates):
Li (0.9534, 0.6390, 0.0680)
Li (0.6390, 0.9534, 0.0680)
Li (0.3610, 0.0466, 0.9320)
Li (0.0466, 0.3610, 0.9320)
Te (0.2700, 0.2700, 0.1605)
Te (0.7300, 0.7300, 0.8395)
O (0.3686, 0.3686, 0.8635)
O (0.6314, 0.6314, 0.1365)
O (0.3278, 0.0291, 0.0808)
O (0.9709, 0.6722, 0.9192)
O (0.0291, 0.3278, 0.0808)
O (0.6722, 0.9709, 0.9192)

Energy of formation from the pure elements: -2.019 eV per atom
V: 170.6 Å³/f.u.
Total energy after the MP2020 corrections: -67.8 eV/cell
VASP energy: -5.309 eV/atom

[9]
The following is a DFT calculation (PBE) of a geometry-optimized Li2TeO3 structure.

Unit cell a=5.4795 b=5.4795 c=14.0879 alpha=87.63 beta=87.63 gamma=123.03
Atoms (fractional coordinates):
Li (0.4535, 0.9533, 0.6828)
Li (0.0467, 0.5465, 0.8172)
Li (0.5465, 0.0467, 0.3172)
Li (0.9533, 0.4535, 0.1828)
Li (0.8606, 0.7321, 0.3154)
Li (0.2679, 0.1394, 0.1846)
Li (0.1394, 0.2679, 0.6846)
Li (0.7321, 0.8606, 0.8154)
Te (0.8273, 0.6408, 0.5939)
Te (0.3592, 0.1727, 0.9061)
Te (0.1727, 0.3592, 0.4061)
Te (0.6408, 0.8273, 0.0939)
O (0.4658, 0.2823, 0.6171)
O (0.8819, 0.7687, 0.1708)
O (0.1181, 0.2313, 0.8292)
O (0.7687, 0.8819, 0.6708)
O (0.5808, 0.0653, 0.1721)
O (0.9347, 0.4192, 0.3279)
O (0.4192, 0.9347, 0.8279)
O (0.0653, 0.5808, 0.6721)
O (0.5342, 0.7177, 0.3829)
O (0.2823, 0.4658, 0.1171)
O (0.2313, 0.1181, 0.3292)
O (0.7177, 0.5342, 0.8829)

Energy of formation from the pure elements: -2.021 eV per atom
V: 88.3 Å³/f.u.
Total energy after the MP2020 corrections: -135.7 eV/cell
VASP energy: -5.312 eV/atom

[10]
The following is a DFT calculation (PBE) of a geometry-optimized Li6TeO6 structure.

Unit cell a=5.6733 b=5.6733 c=5.6733 alpha=61.71 beta=61.71 gamma=61.71
Atoms (fractional coordinates):
Li (0.7170, 0.0788, 0.5148)
Li (0.9212, 0.4852, 0.2830)
Li (0.4852, 0.2830, 0.9212)
Li (0.5148, 0.7170, 0.0788)
Li (0.0788, 0.5148, 0.7170)
Li (0.2830, 0.9212, 0.4852)
Te (0.0000, 0.0000, 0.0000)
O (0.8969, 0.2024, 0.6530)
O (0.7976, 0.3470, 0.1031)
O (0.3470, 0.1031, 0.7976)
O (0.6530, 0.8969, 0.2024)
O (0.2024, 0.6530, 0.8969)
O (0.1031, 0.7976, 0.3470)

Energy of formation from the pure elements: -2.075 eV per atom
V: 134.1 Å³/f.u.
Offset from the most stable computed form: 57 meV per atom
Total energy after the MP2020 corrections: -71.3 eV/cell
VASP energy: -5.164 eV/atom

[11]
The following is a DFT calculation (PBE) of a geometry-optimized Li2ZrTeO6 structure.

Unit cell a=5.5786 b=5.5786 c=5.5786 alpha=56.09 beta=56.09 gamma=56.09
Atoms (fractional coordinates):
Li (0.2765, 0.2765, 0.2765)
Li (0.7874, 0.7874, 0.7874)
Zr (0.0009, 0.0009, 0.0009)
Te (0.4963, 0.4963, 0.4963)
O (0.6082, 0.8605, 0.2411)
O (0.1266, 0.7157, 0.3887)
O (0.3887, 0.1266, 0.7157)
O (0.7157, 0.3887, 0.1266)
O (0.8605, 0.2411, 0.6082)
O (0.2411, 0.6082, 0.8605)

Energy of formation from the pure elements: -2.497 eV per atom
V: 111.6 Å³/f.u.
Total energy after the MP2020 corrections: -70.2 eV/cell
VASP energy: -6.604 eV/atom

[12]
The following is a DFT calculation (PBE) of a geometry-optimized LiTi3O4 structure.

Unit cell a=5.5070 b=6.3235 c=6.4272 alpha=120.69 beta=125.52 gamma=106.29
Atoms (fractional coordinates):
Li (0.2112, 0.0001, 0.8537)
Ti (0.0714, 0.5002, 0.5357)
Ti (0.9507, 0.9996, 0.0206)
Ti (0.9478, 0.9996, 0.4269)
O (0.4962, 0.9999, 0.2064)
O (0.5397, 0.4995, 0.7692)
O (0.5004, 0.0002, 0.7911)
O (0.5188, 0.5001, 0.2598)

Energy of formation from the pure elements: -2.363 eV per atom
V: 88.7 Å³/f.u.
Offset from the most stable computed form: 514 meV per atom
Total energy after the MP2020 corrections: -64.3 eV/cell
VASP energy: -7.693 eV/atom

[13]
The following is a DFT calculation (PBE) of a geometry-optimized Li2TiO3 structure.

Unit cell a=5.1699 b=5.1699 c=5.1699 alpha=146.88 beta=134.63 gamma=57.31
Atoms (fractional coordinates):
Li (0.6700, 0.6700, 0.0000)
Li (0.3300, 0.3300, 0.0000)
Ti (0.0000, 0.0000, 0.0000)
O (0.5000, 0.0000, 0.5000)
O (0.1477, 0.6477, 0.5000)
O (0.8523, 0.3523, 0.5000)

Energy of formation from the pure elements: -2.958 eV per atom
V: 53.3 Å³/f.u.
Total energy after the MP2020 corrections: -44.3 eV/cell
VASP energy: -7.041 eV/atom

[14]
The following is a DFT calculation (PBE) of a geometry-optimized Li2Ti4O9 structure.

Unit cell a=5.0731 b=5.0731 c=13.9751 alpha=90.00 beta=90.00 gamma=120.00
Atoms (fractional coordinates):
Li (0.0000, 0.0000, 0.1442)
Li (0.0000, 0.0000, 0.3558)
Li (0.0000, 0.0000, 0.6442)
Li (0.0000, 0.0000, 0.8558)
Ti (0.3333, 0.6667, 0.0249)
Ti (0.3333, 0.6667, 0.3124)
Ti (0.3333, 0.6667, 0.5249)
Ti (0.3333, 0.6667, 0.8124)
Ti (0.6667, 0.3333, 0.1876)
Ti (0.6667, 0.3333, 0.6876)
Ti (0.6667, 0.3333, 0.4751)
Ti (0.6667, 0.3333, 0.9751)
O (0.0000, 0.6579, 0.7500)
O (0.0249, 0.6409, 0.4186)
O (0.3591, 0.9751, 0.9186)
O (0.0000, 0.3421, 0.2500)
O (0.0249, 0.3840, 0.9186)
O (0.3591, 0.3840, 0.4186)
O (0.3421, 0.3421, 0.7500)
O (0.3840, 0.3591, 0.0814)
O (0.6160, 0.9751, 0.4186)
O (0.3421, 0.0000, 0.2500)
O (0.3840, 0.0249, 0.5814)
O (0.6160, 0.6409, 0.9186)
O (0.6579, 0.6579, 0.2500)
O (0.6409, 0.6160, 0.5814)
O (0.9751, 0.6160, 0.0814)
O (0.6409, 0.0249, 0.0814)
O (0.6579, 0.0000, 0.7500)
O (0.9751, 0.3591, 0.5814)

Energy of formation from the pure elements: -3.284 eV per atom
V: 155.7 Å³/f.u.
Total energy after the MP2020 corrections: -258.4 eV/cell
VASP energy: -8.201 eV/atom

[15]
The following is a DFT calculation (PBE) of a geometry-optimized Li4Ti7O16 structure.

Unit cell a=5.8496 b=5.8496 c=9.7011 alpha=89.97 beta=89.97 gamma=60.98
Atoms (fractional coordinates):
Li (0.0897, 0.0897, 0.9611)
Li (0.1076, 0.1076, 0.6439)
Li (0.0951, 0.5888, 0.5436)
Li (0.5888, 0.0951, 0.5436)
Ti (0.3750, 0.8900, 0.3671)
Ti (0.0978, 0.6108, 0.8574)
Ti (0.6108, 0.0978, 0.8574)
Ti (0.8677, 0.8677, 0.1452)
Ti (0.4042, 0.4042, 0.1329)
Ti (0.6054, 0.6054, 0.6418)
Ti (0.8900, 0.3750, 0.3671)
O (0.2913, 0.7634, 0.5298)
O (0.0342, 0.0342, 0.2788)
O (0.4972, 0.9605, 0.7185)
O (0.2317, 0.2317, 0.4548)
O (0.2777, 0.2777, 0.9639)
O (0.7701, 0.7701, 0.9694)
O (0.0433, 0.5337, 0.2258)
O (0.5337, 0.0433, 0.2258)
O (0.4628, 0.4628, 0.7730)
O (0.9666, 0.9666, 0.7955)
O (0.2176, 0.7304, 0.0394)
O (0.7304, 0.2176, 0.0394)
O (0.7634, 0.2913, 0.5298)
O (0.5432, 0.5432, 0.2712)
O (0.9605, 0.4972, 0.7185)
O (0.7322, 0.7322, 0.4644)

Energy of formation from the pure elements: -3.239 eV per atom
V: 290.3 Å³/f.u.
Total energy after the MP2020 corrections: -229.5 eV/cell
VASP energy: -8.094 eV/atom